The following is a DFT calculation (PBE) of TmClO after structural relaxation.

Cell: 9.6801 9.6801 9.6801 Å, 22.37 22.37 22.37°
Fractional coordinates of all 6 atoms:
Tm (0.2834, 0.2834, 0.2834)
Tm (0.7166, 0.7166, 0.7166)
Cl (0.1109, 0.1109, 0.1109)
Cl (0.8891, 0.8891, 0.8891)
O (0.3631, 0.3631, 0.3631)
O (0.6369, 0.6369, 0.6369)

Results
SG: R-3m
E_form: -3.3797 eV per atom
raw total energy: -6.9081 eV per atom
crystal system: trigonal